Entry 1:
The following is a DFT calculation (PBE with a Hubbard U) of Ba7Fe6O2F32 after structural relaxation.

Geometry as POSCAR:
```
Ba7Fe6O2F32
1.0
5.827 8.604 0.000
-5.827 8.604 0.000
0.000 1.458 7.511
F Fe Ba O
32 6 7 2
direct
0.989 0.229 0.382
0.485 0.747 0.029
0.112 0.112 0.693
0.208 0.794 0.204
0.229 0.989 0.382
0.515 0.253 0.971
0.747 0.485 0.029
0.206 0.792 0.796
0.879 0.644 0.454
0.121 0.356 0.546
0.743 0.743 0.761
0.794 0.208 0.204
0.001 0.265 0.001
0.482 0.965 0.188
0.999 0.735 0.999
0.261 0.550 0.610
0.265 0.001 0.001
0.518 0.035 0.812
0.450 0.739 0.390
0.257 0.257 0.239
0.792 0.206 0.796
0.550 0.261 0.610
0.771 0.011 0.618
0.739 0.450 0.390
0.356 0.121 0.546
0.011 0.771 0.618
0.035 0.518 0.812
0.644 0.879 0.454
0.888 0.888 0.307
0.253 0.515 0.971
0.965 0.482 0.188
0.735 0.999 0.999
0.645 0.135 0.800
0.865 0.355 0.200
0.824 0.824 0.544
0.176 0.176 0.456
0.135 0.645 0.800
0.355 0.865 0.200
0.000 0.000 0.000
0.266 0.266 0.870
0.848 0.434 0.697
0.434 0.848 0.697
0.566 0.152 0.303
0.152 0.566 0.303
0.734 0.734 0.130
0.462 0.462 0.267
0.538 0.538 0.733
```

Calculated values
**Space-group type**: No. 12
**Total magnetization**: 6.0 Bohr magnetons per cell

---

Entry 2:
The following is a DFT calculation (PBE with a Hubbard U) of FeCuP2O8 after structural relaxation.

Geometry as POSCAR:
```
FeCuP2O8
1.0
-5.571 0.617 2.045
1.071 -3.086 3.850
3.013 7.446 5.964
O P Fe Cu
16 4 2 2
direct
0.750 0.890 0.451
0.750 0.643 0.951
0.750 0.235 0.624
0.250 0.714 0.867
0.556 0.771 0.674
0.460 0.284 0.832
0.540 0.716 0.168
0.444 0.229 0.326
0.250 0.110 0.549
0.944 0.771 0.674
0.960 0.716 0.168
0.040 0.284 0.832
0.750 0.286 0.133
0.056 0.229 0.326
0.250 0.357 0.049
0.250 0.765 0.376
0.750 0.942 0.602
0.750 0.597 0.104
0.250 0.058 0.398
0.250 0.403 0.896
0.750 0.459 0.783
0.250 0.541 0.217
0.250 0.868 0.696
0.750 0.132 0.304
```

Calculated values
**Space-group type**: No. 11
**Total magnetization**: 10.0 Bohr magnetons per cell
**Energy relative to the lowest polymorph listed for this composition**: 0 kJ/mol of formula units

---

Entry 3:
The following is a DFT calculation (PBE with a Hubbard U) of CoH20PtC4N4O12 after structural relaxation.

Geometry as POSCAR:
```
CoH20PtC4N4O12
1.0
5.564 2.754 6.758
4.224 7.863 -2.133
-8.755 -2.751 -0.012
H N Pt O C Co
20 4 1 12 4 1
direct
0.092 0.445 0.645
0.007 0.128 0.826
0.372 0.205 0.409
0.796 0.963 0.591
0.811 0.202 0.826
0.188 0.794 0.614
0.821 0.206 0.394
0.179 0.574 0.386
0.908 0.553 0.353
0.200 0.555 0.647
0.800 0.447 0.355
0.376 0.985 0.174
0.302 0.181 0.174
0.189 0.015 0.391
0.204 0.795 0.167
0.628 0.037 0.833
0.993 0.819 0.121
0.698 0.872 0.879
0.624 0.798 0.609
0.812 0.426 0.606
0.110 0.898 0.194
0.296 0.102 0.212
0.704 0.916 0.806
0.890 0.084 0.788
0.000 0.000 0.000
0.398 0.584 0.195
0.760 0.567 0.816
0.751 0.944 0.184
0.240 0.056 0.807
0.602 0.796 0.186
0.249 0.433 0.193
0.778 0.500 0.278
0.856 0.356 0.500
0.222 0.500 0.722
0.144 0.644 0.500
0.610 0.416 0.814
0.390 0.204 0.805
0.679 0.791 0.108
0.684 0.571 0.892
0.316 0.209 0.888
0.321 0.429 0.112
0.500 0.500 0.000
```

Calculated values
**Space-group type**: No. 23
**Total magnetization**: 3.0 Bohr magnetons per cell

---

Entry 4:
The following is a DFT calculation (PBE with a Hubbard U) of Li2MnPHO5 after structural relaxation.

Geometry as POSCAR:
```
Li2MnPHO5
1.0
9.612 0.000 0.000
0.000 5.557 0.000
0.000 2.165 8.200
Mn O H P Li
4 20 4 4 8
direct
0.631 0.297 0.983
0.869 0.797 0.983
0.369 0.703 0.017
0.131 0.203 0.017
0.178 0.583 0.951
0.574 0.349 0.730
0.322 0.083 0.951
0.867 0.870 0.367
0.426 0.651 0.270
0.678 0.917 0.049
0.926 0.849 0.730
0.620 0.794 0.561
0.120 0.706 0.439
0.822 0.417 0.049
0.380 0.206 0.439
0.133 0.130 0.633
0.880 0.294 0.561
0.531 0.706 0.851
0.633 0.370 0.367
0.074 0.151 0.270
0.469 0.294 0.149
0.367 0.630 0.633
0.969 0.206 0.851
0.031 0.794 0.149
0.878 0.349 0.973
0.378 0.151 0.027
0.622 0.849 0.973
0.122 0.651 0.027
0.022 0.873 0.314
0.478 0.373 0.314
0.978 0.127 0.686
0.522 0.627 0.686
0.843 0.270 0.314
0.170 0.336 0.414
0.343 0.230 0.686
0.830 0.664 0.586
0.657 0.770 0.314
0.157 0.730 0.686
0.330 0.836 0.414
0.670 0.164 0.586
```

Calculated values
**Space-group type**: No. 14
**Total magnetization**: 20.0 Bohr magnetons per cell
**Energy relative to the lowest polymorph listed for this composition**: 2 kJ/mol of formula units

---

Entry 5:
The following is a DFT calculation (PBE with a Hubbard U) of Mg2Ta2MnO8 after structural relaxation.

Geometry as POSCAR:
```
Mg2Ta2MnO8
1.0
-0.088 4.883 -1.877
-10.232 -2.470 -5.948
-2.618 3.421 9.224
Mg O Mn Ta
8 32 4 8
direct
0.756 0.207 0.546
0.756 0.707 0.546
0.245 0.293 0.456
0.256 0.565 0.546
0.745 0.935 0.456
0.256 0.065 0.546
0.745 0.435 0.456
0.245 0.793 0.456
0.954 0.042 0.376
0.454 0.646 0.376
0.621 0.580 0.617
0.094 0.845 0.123
0.572 0.983 0.149
0.907 0.655 0.879
0.547 0.854 0.626
0.407 0.784 0.879
0.880 0.273 0.385
0.407 0.284 0.879
0.380 0.920 0.385
0.429 0.516 0.854
0.121 0.727 0.617
0.954 0.542 0.376
0.047 0.958 0.626
0.547 0.354 0.626
0.621 0.080 0.617
0.880 0.773 0.385
0.072 0.591 0.149
0.929 0.409 0.854
0.429 0.016 0.854
0.380 0.420 0.385
0.072 0.091 0.149
0.594 0.716 0.123
0.454 0.146 0.376
0.929 0.909 0.854
0.094 0.345 0.123
0.594 0.216 0.123
0.121 0.227 0.617
0.047 0.458 0.626
0.572 0.483 0.149
0.907 0.155 0.879
0.750 0.828 0.001
0.250 0.172 0.001
0.251 0.672 0.001
0.750 0.328 0.001
0.760 0.522 0.764
0.260 0.359 0.764
0.760 0.022 0.764
0.741 0.141 0.238
0.260 0.859 0.764
0.241 0.478 0.238
0.241 0.978 0.238
0.741 0.641 0.238
```

Calculated values
**Total magnetization**: 0.0 Bohr magnetons per cell

---

Entry 6:
The following is a DFT calculation (PBE with a Hubbard U) of V3F after structural relaxation.

Geometry as POSCAR:
```
V3F
1.0
-0.868 -4.608 3.295
-5.089 -2.072 1.629
2.912 1.837 -4.581
V F
3 1
direct
0.500 0.500 0.000
0.750 0.250 0.500
0.250 0.750 0.500
0.000 0.000 0.000
```

Calculated values
**Space-group type**: No. 139
**Total magnetization**: 3.4 Bohr magnetons per cell

---

Entry 7:
The following is a DFT calculation (PBE with a Hubbard U) of LiVH2OF5 after structural relaxation.

Geometry as POSCAR:
```
LiVH2OF5
1.0
-3.124 -2.146 -4.274
3.334 -1.894 -4.234
0.267 -7.254 2.776
F H Li V O
10 4 2 2 2
direct
0.357 0.855 0.781
0.925 0.412 0.613
0.366 0.967 0.105
0.484 0.516 0.500
0.033 0.634 0.895
0.517 0.483 0.000
0.687 0.094 0.711
0.906 0.313 0.289
0.145 0.643 0.219
0.588 0.075 0.387
0.866 0.204 0.093
0.796 0.134 0.907
0.206 0.869 0.592
0.131 0.794 0.408
0.288 0.260 0.255
0.740 0.712 0.745
0.232 0.768 0.000
0.767 0.233 0.500
0.917 0.083 0.000
0.081 0.919 0.500
```

Calculated values
**Space-group type**: No. 5
**Total magnetization**: 2.0 Bohr magnetons per cell

---

Entry 8:
The following is a DFT calculation (PBE with a Hubbard U) of Sr2NiSe2Cl2O6 after structural relaxation.

Geometry as POSCAR:
```
Sr2NiSe2Cl2O6
1.0
5.417 0.005 -0.264
0.012 13.037 -0.006
-0.056 -0.006 12.432
Se Ni O Sr Cl
8 4 24 8 8
direct
0.995 0.380 0.073
0.005 0.120 0.927
0.504 0.630 0.426
0.496 0.870 0.574
0.496 0.370 0.574
0.995 0.880 0.073
0.504 0.130 0.426
0.005 0.620 0.927
0.500 0.250 0.000
0.500 0.750 0.000
0.000 0.000 0.500
0.000 0.500 0.500
0.743 0.314 0.121
0.720 0.964 0.605
0.566 0.286 0.676
0.221 0.287 0.105
0.779 0.713 0.895
0.434 0.714 0.324
0.257 0.186 0.879
0.257 0.686 0.879
0.064 0.464 0.176
0.566 0.786 0.676
0.756 0.064 0.379
0.756 0.564 0.379
0.243 0.436 0.621
0.280 0.036 0.395
0.936 0.536 0.824
0.064 0.964 0.176
0.434 0.214 0.324
0.936 0.036 0.824
0.743 0.814 0.121
0.221 0.787 0.105
0.779 0.213 0.895
0.720 0.464 0.605
0.244 0.936 0.621
0.280 0.536 0.395
0.985 0.851 0.766
0.985 0.351 0.766
0.485 0.399 0.266
0.515 0.101 0.734
0.015 0.649 0.234
0.485 0.899 0.266
0.516 0.601 0.734
0.015 0.149 0.234
0.551 0.089 0.103
0.051 0.161 0.603
0.949 0.339 0.397
0.551 0.589 0.103
0.949 0.839 0.397
0.051 0.661 0.603
0.449 0.411 0.897
0.449 0.911 0.897
```

---

Across the entries above, E_tot takes the values -5.3930 -6.6890 -5.8045 -6.4985 -8.3715 -5.2944 -5.2903 -5.2716 eV/atom, respectively.
Across the entries above, formation energy takes the values -3.14 -2.09 -1.02 -2.36 -3.10 0.61 -2.53 -1.97 eV/atom, respectively.